[1]
## RbMg6Nb (PBE)

Data for RbMg6Nb after structural relaxation.

Calculated formation energy   2.9 eV per formula unit
Calculated volume   206.6 Å³ per cell
ΔE to the lowest computed polymorph   0 meV/atom
Spin magnetization   0.398 Bohr magnetons per cell
E_tot   -17.820 eV per cell

Lattice parameters (Å, degrees): 6.782 6.782 4.492 90.00 90.00 90.00
Fractional positions:
Rb 0.000 0.000 0.500
Mg 0.286 0.714 0.000
Mg 0.000 0.500 0.500
Mg 0.286 0.286 0.000
Mg 0.714 0.714 0.000
Mg 0.500 0.000 0.500
Mg 0.714 0.286 0.000
Nb 0.500 0.500 0.500



[2]
## RbMg6Nb (PBE)

Data for RbMg6Nb after structural relaxation.

Calculated formation energy   3.0 eV per formula unit
Calculated volume   196.0 Å³ per cell
ΔE to the lowest computed polymorph   18 meV/atom
Spin magnetization   0.413 Bohr magnetons per cell
E_tot   -17.677 eV per cell

Lattice parameters (Å, degrees): 6.579 6.579 5.159 90.00 90.00 118.65
Fractional positions:
Mg 0.567 0.897 0.500
Mg 0.099 0.901 0.500
Mg 0.428 0.119 0.000
Mg 0.103 0.433 0.500
Mg 0.426 0.574 0.000
Mg 0.881 0.572 0.000
Nb 0.583 0.417 0.500
Rb 0.913 0.087 0.000



> Which value of E_tot does entry 1 give?

-17.820 eV per cell



> Among the records above, which one has the lowest E_tot?

number 1



> The lowest E_tot belongs to which entry?

number 1